Here is KDyMo2O8 after structural relaxation from the Materials Project database. Energies are from GGA+U.

```
KDyMo2O8
1.0
5.1456 0.0000 0.0000
0.0000 8.1345 0.0000
0.0000 0.0000 18.4476
O Mo K Dy
32 8 4 4
Direct
0.3977 0.4745 0.1893
0.6023 0.5255 0.8107
0.7307 0.1616 0.9012
0.6023 0.0255 0.1893
0.8977 0.0255 0.6893
0.7512 0.9957 0.0349
0.7488 0.9957 0.5349
0.2512 0.5043 0.5349
0.7512 0.4957 0.9651
0.7460 0.3107 0.0924
0.2460 0.1893 0.5924
0.2540 0.1893 0.0924
0.8977 0.5255 0.3107
0.1023 0.4745 0.6893
0.7488 0.4957 0.4651
0.2512 0.0043 0.4651
0.7307 0.6616 0.0988
0.2693 0.8384 0.0988
0.2460 0.6893 0.4076
0.7460 0.8107 0.9076
0.1023 0.9745 0.3107
0.2488 0.5043 0.0349
0.2307 0.8384 0.5988
0.7693 0.6616 0.5988
0.2307 0.3384 0.4012
0.3977 0.9745 0.8107
0.7540 0.3107 0.5924
0.7540 0.8107 0.4076
0.7693 0.1616 0.4012
0.2540 0.6893 0.9076
0.2488 0.0043 0.9651
0.2693 0.3384 0.9012
0.5231 0.9837 0.8992
0.0231 0.5163 0.3992
0.0231 0.0163 0.6008
0.4769 0.0163 0.1008
0.4769 0.5163 0.8992
0.9769 0.4837 0.6008
0.9769 0.9837 0.3992
0.5231 0.4837 0.1008
0.5000 0.2500 0.7301
0.5000 0.7500 0.2699
0.0000 0.2500 0.2301
0.0000 0.7500 0.7699
0.0000 0.7500 0.0060
0.0000 0.2500 0.9940
0.5000 0.7500 0.5060
0.5000 0.2500 0.4940
```

Calculated formation energy ... -2549.9 meV/atom
Density ... 4.5 Mg/m³
Symmetry ... Pbcn, No. 60


Here is KDyMo2O8 after structural relaxation from the Materials Project database. Energies are from GGA+U.

```
KDyMo2O8
1.0
-0.9371 -5.2165 0.4533
1.8046 2.8778 6.0999
-9.8816 4.2885 -0.0394
O Dy K Mo
16 2 2 4
Direct
0.7664 0.5877 0.1813
0.7134 0.5147 0.4329
0.5814 0.8746 0.7492
0.7476 0.0014 0.0970
0.2524 0.9986 0.9030
0.0639 0.3566 0.3073
0.2792 0.8138 0.4169
0.1711 0.0550 0.6256
0.8289 0.9450 0.3744
0.2902 0.6951 0.1523
0.2866 0.4853 0.5671
0.7208 0.1862 0.5831
0.7098 0.3049 0.8477
0.2336 0.4123 0.8187
0.9361 0.6434 0.6927
0.4186 0.1254 0.2508
0.6950 0.8162 0.5625
0.3050 0.1838 0.4375
0.1849 0.3050 0.0517
0.8151 0.6950 0.9483
0.9606 0.5709 0.3315
0.4252 0.0596 0.7816
0.0394 0.4291 0.6685
0.5748 0.9404 0.2184
```

Calculated formation energy ... -2533.5 meV/atom
Density ... 4.9 Mg/m³
Symmetry ... P-1, No. 2


Here is LiDyW2O8 after structural relaxation from the Materials Project database. Energies are from GGA+U.

```
LiDyW2O8
1.0
-1.5411 -5.5537 1.2923
1.3378 -1.4660 -4.7049
10.5175 -3.0846 -0.7139
O W Dy Li
16 4 2 2
Direct
0.8870 0.3558 0.5961
0.3744 0.7965 0.1056
0.8870 0.6442 0.9039
0.6256 0.7965 0.6056
0.6256 0.2035 0.8944
0.3682 0.2694 0.6372
0.1130 0.3558 0.0961
0.3744 0.2035 0.3944
0.3682 0.7306 0.8628
0.0779 0.1460 0.8863
0.9221 0.1460 0.3863
0.1130 0.6442 0.4039
0.6318 0.2694 0.1372
0.0779 0.8540 0.6137
0.9221 0.8540 0.1137
0.6318 0.7306 0.3628
0.1748 0.2353 0.5142
0.1748 0.7647 0.9858
0.8252 0.2353 0.0142
0.8252 0.7647 0.4858
0.6852 0.0000 0.7500
0.3148 0.0000 0.2500
0.7581 0.5000 0.2500
0.2419 0.5000 0.7500
```

Calculated formation energy ... -2663.6 meV/atom
Density ... 7.2 Mg/m³
Symmetry ... P2/c, No. 13


Here is DyMgMn2O4 after structural relaxation from the Materials Project database. Energies are from GGA+U.

```
DyMgMn2O4
1.0
1.5653 2.1258 2.0704
1.2638 2.8724 -1.1865
-8.7807 6.8025 2.3724
Mn Mg O Dy
2 1 4 1
Direct
0.2385 0.2385 0.2845
0.7615 0.7615 0.7155
0.5000 0.5000 0.5000
0.1319 0.1319 0.6042
0.2989 0.2989 0.1033
0.8681 0.8681 0.3958
0.7011 0.7011 0.8967
0.0000 0.0000 0.0000
```

Calculated formation energy ... -2458.0 meV/atom
Density ... 5.5 Mg/m³
Symmetry ... R-3m, No. 166


Here is DyMgMn2O4 after structural relaxation from the Materials Project database. Energies are from GGA+U.

```
DyMgMn2O4
1.0
2.4596 -0.5422 2.2710
2.3384 2.3888 0.5712
-4.8202 4.9864 8.9419
Mn O Dy Mg
2 4 1 1
Direct
0.1847 0.1847 0.4445
0.7714 0.7714 0.6856
0.3035 0.3035 0.0872
0.1233 0.1233 0.6296
0.9009 0.9009 0.2987
0.7067 0.7067 0.8777
0.0079 0.0079 0.9740
0.5908 0.5908 0.2292
```

Calculated formation energy ... -2464.7 meV/atom
Density ... 5.4 Mg/m³
Symmetry ... Cm, No. 8


Here is NaPrDyMnO6 after structural relaxation from the Materials Project database. Energies are from GGA+U.

```
NaPrDyMnO6
1.0
0.0000 -4.0592 -4.0592
4.0592 0.0000 -4.0592
4.0592 -4.0592 0.0000
Pr Na O Mn Dy
1 1 6 1 1
Direct
0.7500 0.7500 0.7500
0.2500 0.2500 0.2500
0.2677 0.2677 0.7323
0.7323 0.2677 0.7323
0.2677 0.7323 0.2677
0.7323 0.7323 0.2677
0.7323 0.2677 0.2677
0.2677 0.7323 0.7323
0.5000 0.5000 0.5000
0.0000 0.0000 0.0000
```

Calculated formation energy ... -2609.7 meV/atom
Density ... 5.9 Mg/m³
Symmetry ... F-43m, No. 216